Below is a geometry-optimized Sr5Ta4O15 structure, with properties calculated at the PBE level.

```
Sr5Ta4O15
1.0
5.7089 0.0000 0.0000
-2.8544 4.9440 0.0000
0.0000 0.0000 23.3154
Sr Ta O
10 8 30
direct
0.0000 0.0000 0.2500
0.0000 0.0000 0.7500
0.3333 0.6667 0.1387
0.3333 0.6667 0.4719
0.3333 0.6667 0.6387
0.3333 0.6667 0.9719
0.6667 0.3333 0.0281
0.6667 0.3333 0.3613
0.6667 0.3333 0.5281
0.6667 0.3333 0.8613
0.0000 0.0000 0.0928
0.0000 0.0000 0.4072
0.0000 0.0000 0.5928
0.0000 0.0000 0.9072
0.3333 0.6667 0.3019
0.3333 0.6667 0.8019
0.6667 0.3333 0.1981
0.6667 0.3333 0.6981
0.0000 0.4597 0.2500
0.0000 0.5403 0.7500
0.1013 0.3311 0.0559
0.1013 0.7702 0.5559
0.1220 0.3314 0.8456
0.1220 0.7906 0.3456
0.2094 0.3314 0.3456
0.2094 0.8780 0.8456
0.2298 0.3311 0.5559
0.2298 0.8987 0.0559
0.3311 0.1013 0.4441
0.3314 0.1220 0.6544
0.3314 0.2094 0.1544
0.3311 0.2298 0.9441
0.4597 0.0000 0.2500
0.4597 0.4597 0.7500
0.5403 0.0000 0.7500
0.5403 0.5403 0.2500
0.6689 0.7702 0.0559
0.6686 0.7906 0.8456
0.6686 0.8780 0.3456
0.6689 0.8987 0.5559
0.7702 0.1013 0.9441
0.7702 0.6689 0.4441
0.7906 0.1220 0.1544
0.7906 0.6686 0.6544
0.8780 0.2094 0.6544
0.8780 0.6686 0.1544
0.8987 0.2298 0.4441
0.8987 0.6689 0.9441
```

Values from the calculation:
**Space group**: No. 165
**Energy relative to the lowest polymorph listed for this composition**: 0.00 eV per formula unit